<a>
The following is a DFT calculation (GGA+U) of a relaxed LiMn2F7 crystal.

```
LiMn2F7
1.0
7.5087 0.0000 0.0000
0.0000 5.0958 0.0000
-1.8739 0.0000 13.1251
Li Mn F
4 8 28
Direct
0.0996 0.0000 0.0718
0.3578 0.5074 0.9402
0.6422 0.0074 0.0598
0.9004 0.5000 0.9282
0.0251 0.4882 0.6053
0.0823 0.9884 0.8166
0.4187 0.4885 0.1825
0.4754 0.9974 0.3934
0.5246 0.4974 0.6066
0.5813 0.9885 0.8175
0.9177 0.4884 0.1834
0.9749 0.9882 0.3947
0.0011 0.1885 0.2600
0.0425 0.2878 0.4723
0.0620 0.7973 0.9495
0.0938 0.1880 0.6800
0.1528 0.2967 0.8833
0.1593 0.6280 0.1898
0.2338 0.8874 0.4030
0.2822 0.5993 0.6180
0.3239 0.8393 0.8346
0.3280 0.2840 0.0719
0.3864 0.1866 0.2722
0.4420 0.3176 0.4868
0.4490 0.7641 0.0898
0.4891 0.1790 0.7016
0.5109 0.6790 0.2984
0.5510 0.2641 0.9102
0.5580 0.8176 0.5132
0.6136 0.6866 0.7278
0.6720 0.7840 0.9281
0.6761 0.3393 0.1654
0.7178 0.0993 0.3820
0.7662 0.3874 0.5970
0.8407 0.1280 0.8102
0.8472 0.7967 0.1167
0.9062 0.6880 0.3200
0.9380 0.2973 0.0505
0.9575 0.7878 0.5277
0.9989 0.6885 0.7400
```

Values from the calculation:
M_tot = 0.8001 μB per atom
Space group = No. 4

---

<b>
The following is a DFT calculation (GGA+U) of a relaxed LiMn2F7 crystal.

```
LiMn2F7
1.0
5.6990 0.0000 0.0000
0.2978 6.4848 0.0000
1.7062 2.8045 8.0598
Li Mn F
2 4 14
Direct
0.0894 0.4105 0.2730
0.9106 0.5895 0.7270
0.2232 0.2111 0.6956
0.2904 0.0171 0.1676
0.7096 0.9829 0.8324
0.7768 0.7889 0.3044
0.0653 0.9317 0.7420
0.1714 0.7390 0.1933
0.1739 0.3055 0.4826
0.2455 0.4897 0.7001
0.3067 0.0920 0.9229
0.3519 0.2995 0.1419
0.4278 0.9038 0.3586
0.5722 0.0962 0.6414
0.6481 0.7005 0.8581
0.6933 0.9080 0.0771
0.7545 0.5103 0.2999
0.8261 0.6945 0.5174
0.8286 0.2610 0.8067
0.9347 0.0683 0.2580
```

Values from the calculation:
M_tot = 0.8002 μB per atom
Space group = No. 2

---

<c>
The following is a DFT calculation (GGA+U) of a relaxed LiMn2F7 crystal.

```
LiMn2F7
1.0
2.7502 -4.9978 0.0000
2.7502 4.9978 0.0000
-2.6954 0.0000 9.3443
Li Mn F
2 4 14
Direct
0.2441 0.7559 0.5000
0.7559 0.2441 0.0000
0.3312 0.4030 0.7685
0.4030 0.3312 0.2685
0.8793 0.9749 0.4135
0.9749 0.8793 0.9135
0.0225 0.6425 0.0046
0.0968 0.1621 0.0946
0.1412 0.9291 0.3311
0.1621 0.0968 0.5946
0.1664 0.3953 0.3709
0.2424 0.6081 0.6700
0.3953 0.1664 0.8709
0.5384 0.7130 0.9338
0.5908 0.7616 0.2426
0.6081 0.2424 0.1700
0.6425 0.0225 0.5046
0.7130 0.5384 0.4338
0.7616 0.5908 0.7426
0.9291 0.1412 0.8311
```

Values from the calculation:
M_tot = 0.8001 μB per atom
Space group = No. 9

---

<d>
The following is a DFT calculation (GGA+U) of a relaxed LiMn2F7 crystal.

```
LiMn2F7
1.0
5.2602 0.0000 0.0000
0.0000 5.5326 0.0000
-1.7713 0.0000 9.6716
Li Mn F
2 4 14
Direct
0.0000 0.0839 0.2500
0.0000 0.9161 0.7500
0.4330 0.2547 0.5707
0.4330 0.7453 0.0707
0.5671 0.2547 0.9293
0.5671 0.7453 0.4293
0.1706 0.1006 0.6350
0.1706 0.8994 0.1350
0.2777 0.4046 0.9809
0.2777 0.5954 0.4809
0.3367 0.1026 0.3948
0.3367 0.8974 0.8948
0.5000 0.4137 0.7500
0.5000 0.5863 0.2500
0.6633 0.1026 0.1052
0.6633 0.8974 0.6052
0.7223 0.4046 0.5191
0.7223 0.5954 0.0191
0.8294 0.1006 0.8650
0.8294 0.8994 0.3650
```

Values from the calculation:
M_tot = 0.8001 μB per atom
Space group = No. 13

---

<a> is the most stable structure; the next one sits 29 meV per atom above it.

---

<a>
The following is a DFT calculation (GGA+U) of a relaxed LiMn2F7 crystal.

```
LiMn2F7
1.0
8.5892 -2.5606 0.0000
8.5892 2.5606 0.0000
-0.1281 0.0000 5.6005
Li Mn F
2 4 14
Direct
0.0000 0.5000 0.0000
0.5000 0.0000 0.5000
0.1388 0.6496 0.7146
0.3504 0.8612 0.7854
0.6496 0.1388 0.2146
0.8612 0.3504 0.2854
0.0085 0.1453 0.5597
0.0983 0.3156 0.3042
0.1453 0.0085 0.0597
0.2877 0.4354 0.9937
0.3156 0.0983 0.8042
0.3805 0.6195 0.7500
0.4354 0.2877 0.4937
0.5646 0.7123 0.5063
0.6195 0.3805 0.2500
0.6844 0.9017 0.1958
0.7123 0.5646 0.0063
0.8547 0.9915 0.9403
0.9017 0.6844 0.6958
0.9915 0.8547 0.4403
```

Values from the calculation:
Space group = No. 15

---

<b>
The following is a DFT calculation (GGA+U) of a relaxed LiMn2F7 crystal.

```
LiMn2F7
1.0
8.1037 0.0000 0.0000
0.0000 8.1000 0.0000
-6.6949 0.0000 8.1811
Li Mn F
4 8 28
Direct
0.2202 0.0916 0.3480
0.2202 0.4084 0.8480
0.7798 0.5916 0.1520
0.7798 0.9084 0.6520
0.2580 0.7182 0.2932
0.2580 0.7818 0.7932
0.2796 0.1181 0.0811
0.2796 0.3819 0.5811
0.7204 0.6181 0.4189
0.7204 0.8819 0.9189
0.7420 0.2182 0.2068
0.7420 0.2818 0.7068
0.0392 0.1924 0.3874
0.0392 0.3076 0.8874
0.1965 0.5625 0.6442
0.1967 0.6343 0.8893
0.1967 0.8657 0.3893
0.1965 0.9375 0.1442
0.2502 0.5149 0.4225
0.2502 0.9851 0.9225
0.2801 0.2349 0.2295
0.2801 0.2651 0.7295
0.3742 0.5765 0.2293
0.3742 0.9235 0.7293
0.4421 0.2132 0.5542
0.4421 0.2868 0.0542
0.5579 0.7132 0.9458
0.5579 0.7868 0.4458
0.6258 0.0765 0.2707
0.6258 0.4235 0.7707
0.7199 0.7349 0.2705
0.7199 0.7651 0.7705
0.7498 0.0149 0.0775
0.7498 0.4851 0.5775
0.8035 0.0625 0.8558
0.8033 0.1343 0.6107
0.8033 0.3657 0.1107
0.8035 0.4375 0.3558
0.9608 0.6924 0.1126
0.9608 0.8076 0.6126
```

Values from the calculation:
M_tot = 0.8001 μB per atom
Space group = No. 14

---

<a> is the most stable structure; the next one sits 55 meV per atom above it.

---

<a>
The following is a DFT calculation (GGA+U) of a relaxed LiMnF3 crystal.

```
LiMnF3
1.0
6.2084 0.0000 0.0000
0.0000 6.2084 0.0000
0.0000 0.0000 6.2084
Li Mn F
4 4 12
Direct
0.0897 0.0897 0.0897
0.4103 0.9103 0.5897
0.5897 0.4103 0.9103
0.9103 0.5897 0.4103
0.1413 0.6413 0.8587
0.3587 0.3587 0.3587
0.6413 0.8587 0.1413
0.8587 0.1413 0.6413
0.0177 0.2679 0.3689
0.1311 0.9823 0.7679
0.2321 0.6311 0.5177
0.2679 0.3689 0.0177
0.3689 0.0177 0.2679
0.4823 0.7321 0.8689
0.5177 0.2321 0.6311
0.6311 0.5177 0.2321
0.7321 0.8689 0.4823
0.7679 0.1311 0.9823
0.8689 0.4823 0.7321
0.9823 0.7679 0.1311
```

Values from the calculation:
M_tot = 1.0000 μB per atom
Space group = No. 198

---

<b>
The following is a DFT calculation (GGA+U) of a relaxed LiMnF3 crystal.

```
LiMnF3
1.0
4.9704 -4.6229 0.0000
4.9704 4.6229 0.0000
-0.9683 0.0000 5.4871
Li Mn F
4 4 12
Direct
0.1051 0.2824 0.2942
0.2824 0.1051 0.7942
0.7176 0.8949 0.2058
0.8949 0.7176 0.7058
0.2027 0.7973 0.2500
0.4043 0.5957 0.7500
0.5957 0.4043 0.2500
0.7973 0.2027 0.7500
0.0618 0.2131 0.6018
0.1333 0.6393 0.8961
0.2131 0.0618 0.1018
0.3023 0.4820 0.3741
0.3607 0.8667 0.6039
0.4820 0.3023 0.8741
0.5180 0.6977 0.1259
0.6393 0.1333 0.3961
0.6977 0.5180 0.6259
0.7869 0.9382 0.8982
0.8667 0.3607 0.1039
0.9382 0.7869 0.3982
```

Values from the calculation:
M_tot = 1.0000 μB per atom
Space group = No. 15

---

<c>
The following is a DFT calculation (GGA+U) of a relaxed LiMnF3 crystal.

```
LiMnF3
1.0
8.8594 0.0000 0.0000
0.0000 8.8594 0.0000
0.0000 0.0000 6.2549
Li Mn F
8 8 24
Direct
0.0993 0.3017 0.0887
0.1983 0.0993 0.4113
0.3017 0.4007 0.4113
0.4007 0.1983 0.0887
0.5993 0.8017 0.9113
0.6983 0.5993 0.5887
0.8017 0.9007 0.5887
0.9007 0.6983 0.9113
0.0571 0.7272 0.3529
0.2272 0.9429 0.8529
0.2728 0.5571 0.8529
0.4429 0.7728 0.3529
0.5571 0.2272 0.6471
0.7272 0.4429 0.1471
0.7728 0.0571 0.1471
0.9429 0.2728 0.6471
0.0722 0.0776 0.6871
0.0776 0.4278 0.8129
0.0955 0.3001 0.3962
0.1090 0.7516 0.9766
0.1999 0.0955 0.1038
0.2484 0.6090 0.4766
0.2516 0.8910 0.4766
0.3001 0.4045 0.1038
0.3910 0.7484 0.9766
0.4045 0.1999 0.3962
0.4224 0.0722 0.8129
0.4278 0.4224 0.6871
0.5722 0.5776 0.3129
0.5776 0.9278 0.1871
0.5955 0.8001 0.6038
0.6090 0.2516 0.0234
0.6999 0.5955 0.8962
0.7484 0.1090 0.5234
0.7516 0.3910 0.5234
0.8001 0.9045 0.8962
0.8910 0.2484 0.0234
0.9045 0.6999 0.6038
0.9224 0.5722 0.1871
0.9278 0.9224 0.3129
```

Values from the calculation:
M_tot = 1.0000 μB per atom
Space group = No. 86

---

<d>
The following is a DFT calculation (GGA+U) of a relaxed LiMnF3 crystal.

```
LiMnF3
1.0
4.9427 -4.4826 0.0000
4.9427 4.4826 0.0000
-0.2240 0.0000 5.9255
Li Mn F
4 4 12
Direct
0.1710 0.1710 0.6127
0.1721 0.8279 0.0000
0.8279 0.1721 0.0000
0.8290 0.8290 0.3873
0.2676 0.2676 0.1891
0.3107 0.6893 0.5000
0.6893 0.3107 0.5000
0.7324 0.7324 0.8109
0.0193 0.7252 0.6324
0.1283 0.1283 0.9170
0.2238 0.5824 0.1729
0.2748 0.9807 0.3676
0.3623 0.3623 0.5530
0.4176 0.7762 0.8271
0.5824 0.2238 0.1729
0.6377 0.6377 0.4470
0.7252 0.0193 0.6324
0.7762 0.4176 0.8271
0.8717 0.8717 0.0830
0.9807 0.2748 0.3676
```

Values from the calculation:
M_tot = 0.0000 μB per atom
Space group = No. 12

---

<b> is the most stable structure; the next one sits 16 meV per atom above it.

---

<a>
The following is a DFT calculation (GGA+U) of a relaxed LiMnF3 crystal.

```
LiMnF3
1.0
5.3855 0.0000 0.0000
0.0000 5.0482 0.0000
0.0000 0.0000 9.0070
Li Mn F
4 4 12
Direct
0.2500 0.0000 0.1878
0.2500 0.5000 0.3122
0.7500 0.0000 0.8122
0.7500 0.5000 0.6878
0.2500 0.0000 0.5981
0.2500 0.5000 0.9019
0.7500 0.0000 0.4019
0.7500 0.5000 0.0981
0.0477 0.2500 0.7500
0.0853 0.2188 0.4127
0.0853 0.2812 0.0873
0.4147 0.7188 0.0873
0.4147 0.7812 0.4127
0.4523 0.7500 0.7500
0.5477 0.2500 0.2500
0.5853 0.2188 0.5873
0.5853 0.2812 0.9127
0.9147 0.7188 0.9127
0.9147 0.7812 0.5873
0.9523 0.7500 0.2500
```

Values from the calculation:
M_tot = 1.0002 μB per atom
Space group = No. 52

---

<b>
The following is a DFT calculation (GGA+U) of a relaxed LiMnF3 crystal.

```
LiMnF3
1.0
6.5783 0.0000 0.0000
-1.0484 6.6816 0.0000
-2.7077 -0.5141 8.4903
Li Mn F
6 6 18
Direct
0.0232 0.3976 0.3001
0.2218 0.8038 0.0179
0.3478 0.9390 0.7376
0.6522 0.0610 0.2624
0.7782 0.1962 0.9821
0.9768 0.6024 0.6999
0.2118 0.8619 0.4065
0.2726 0.2996 0.9983
0.4206 0.4272 0.6648
0.5794 0.5728 0.3352
0.7274 0.7004 0.0017
0.7882 0.1381 0.5935
0.0437 0.3356 0.1056
0.0785 0.8096 0.5854
0.1393 0.3803 0.7382
0.1689 0.9150 0.1862
0.2912 0.0254 0.9096
0.2957 0.5477 0.4294
0.4143 0.1187 0.5838
0.4202 0.6191 0.0875
0.4957 0.7211 0.7661
0.5043 0.2789 0.2339
0.5798 0.3809 0.9125
0.5857 0.8813 0.4162
0.7043 0.4523 0.5706
0.7088 0.9746 0.0904
0.8311 0.0850 0.8138
0.8607 0.6197 0.2618
0.9215 0.1904 0.4146
0.9563 0.6644 0.8944
```

Values from the calculation:
M_tot = 0.9999 μB per atom
Space group = No. 2

---

<c>
The following is a DFT calculation (GGA+U) of a relaxed LiMnF3 crystal.

```
LiMnF3
1.0
5.4259 0.0000 0.0000
-2.7129 4.6989 0.0000
0.0000 0.0000 10.4854
Li Mn F
4 4 12
Direct
0.3333 0.6667 0.0828
0.3333 0.6667 0.4172
0.6667 0.3333 0.5828
0.6667 0.3333 0.9172
0.0000 0.0000 0.2500
0.0000 0.0000 0.7500
0.3333 0.6667 0.7500
0.6667 0.3333 0.2500
0.0044 0.3367 0.6388
0.0044 0.6677 0.8612
0.3323 0.3367 0.8612
0.3323 0.9956 0.6388
0.3367 0.0044 0.3612
0.3367 0.3323 0.1388
0.6633 0.6677 0.6388
0.6633 0.9956 0.8612
0.6677 0.0044 0.1388
0.6677 0.6633 0.3612
0.9956 0.3323 0.3612
0.9956 0.6633 0.1388
```

Values from the calculation:
M_tot = 1.0000 μB per atom
Space group = No. 182

---

<a> is the most stable structure; the next one sits 46 meV per atom above it.